CdGeBi2O6 (GGA-PBE, optimized geometry); energy of formation from the pure elements = -17.84 eV per formula unit
1.0
10.586 0.000 0.000
0.000 10.351 0.000
0.000 0.000 5.709
Cd Ge Bi O
4 4 8 24
direct
0.000 0.114 0.250
0.000 0.886 0.750
0.500 0.386 0.750
0.500 0.614 0.250
0.000 0.346 0.750
0.000 0.654 0.250
0.500 0.154 0.250
0.500 0.846 0.750
0.241 0.393 0.215
0.241 0.607 0.715
0.259 0.107 0.715
0.259 0.893 0.215
0.741 0.107 0.785
0.741 0.893 0.285
0.759 0.393 0.285
0.759 0.607 0.785
0.078 0.250 0.535
0.078 0.750 0.035
0.122 0.444 0.875
0.122 0.556 0.375
0.147 0.030 0.013
0.147 0.970 0.513
0.353 0.470 0.513
0.353 0.530 0.013
0.378 0.056 0.375
0.378 0.944 0.875
0.422 0.250 0.035
0.422 0.750 0.535
0.578 0.250 0.465
0.578 0.750 0.965
0.622 0.056 0.125
0.622 0.944 0.625
0.647 0.470 0.987
0.647 0.530 0.487
0.853 0.030 0.487
0.853 0.970 0.987
0.878 0.444 0.625
0.878 0.556 0.125
0.922 0.250 0.965
0.922 0.750 0.465

=====

Mg5Si9 (GGA-PBE, optimized geometry); energy of formation from the pure elements = 13.14 eV per formula unit
1.0
7.532 0.000 0.000
3.688 6.571 0.000
0.317 3.298 10.313
Mg Si
10 18
direct
0.000 0.000 0.000
0.003 0.824 0.528
0.202 0.674 0.279
0.263 0.348 0.424
0.473 0.691 0.960
0.516 0.906 0.459
0.593 0.321 0.136
0.679 0.122 0.757
0.697 0.972 0.275
0.887 0.415 0.793
0.127 0.968 0.787
0.230 0.256 0.160
0.233 0.527 0.996
0.245 0.440 0.770
0.278 0.075 0.668
0.318 0.150 0.955
0.319 0.934 0.206
0.381 0.582 0.671
0.592 0.738 0.665
0.604 0.487 0.412
0.659 0.914 0.908
0.668 0.231 0.540
0.852 0.540 0.332
0.854 0.442 0.098
0.885 0.705 0.049
0.933 0.568 0.616
0.976 0.142 0.284
0.999 0.190 0.507

=====

> The highest energy of formation from the pure elements belongs to which entry?

Mg5Si9

=====

> Look up the energy of formation from the pure elements of the second one.

13.14 eV per formula unit

=====

> Which value of energy of formation from the pure elements does entry 2 give?

13.14 eV per formula unit

=====

> Which formula does entry 1 have?

CdGeBi2O6